1.
# NaPrHf4O12 (PBE-GGA, relaxed)
data_NaPrHf4O12
_chemical_formula_sum 'Na2 Pr2 Hf8 O24'
_cell_length_a 8.266
_cell_length_b 8.099
_cell_length_c 8.081
_cell_angle_alpha 90.00
_cell_angle_beta 90.00
_cell_angle_gamma 90.00
_symmetry_space_group_name_H-M 'A m m 2'
_symmetry_Int_Tables_number 38
_symmetry_space_group_name_Hall 'A 2 -2'
loop_
_atom_site_label
_atom_site_type_symbol
_atom_site_fract_x
_atom_site_fract_y
_atom_site_fract_z
Na1 Na 0.000 0.000 0.000
Pr1 Pr 0.500 0.000 0.481
Hf1 Hf 0.239 0.246 0.744
O1 O 0.000 0.215 0.223
O2 O 0.215 0.000 0.785
O3 O 0.280 0.217 0.495
O4 O 0.298 0.000 0.246
O5 O 0.500 0.205 0.732
# Calculated volume ... 15.027 Å³/atom
# E_form ... -3.19 eV/atom
# ρ ... 6.57 g cm⁻³
# Total DFT energy (no corrections) ... -0.6311 Ry per atom



2.
# NaPrHfSnO6 (PBE-GGA, relaxed)
data_NaPrHfSnO6
_chemical_formula_sum 'Na4 Pr4 Hf4 Sn4 O24'
_cell_length_a 8.166
_cell_length_b 8.166
_cell_length_c 8.166
_cell_angle_alpha 90.00
_cell_angle_beta 90.00
_cell_angle_gamma 90.00
_symmetry_space_group_name_H-M 'F -4 3 m'
_symmetry_Int_Tables_number 216
_symmetry_space_group_name_Hall 'F -4 2 3'
loop_
_atom_site_label
_atom_site_type_symbol
_atom_site_fract_x
_atom_site_fract_y
_atom_site_fract_z
Na1 Na 0.000 0.000 0.000
Pr1 Pr 0.000 0.000 0.500
Hf1 Hf 0.250 0.250 0.250
Sn1 Sn 0.250 0.250 0.750
O1 O 0.000 0.250 0.250
# Calculated volume ... 13.612 Å³/atom
# E_form ... -2.97 eV/atom
# ρ ... 6.80 g cm⁻³
# Total DFT energy (no corrections) ... -0.5534 Ry per atom



3.
# NaPrHfZrO6 (PBE-GGA, relaxed)
data_NaPrHfZrO6
_chemical_formula_sum 'Na4 Pr4 Hf4 Zr4 O24'
_cell_length_a 8.264
_cell_length_b 8.264
_cell_length_c 8.264
_cell_angle_alpha 90.00
_cell_angle_beta 90.00
_cell_angle_gamma 90.00
_symmetry_space_group_name_H-M 'F -4 3 m'
_symmetry_Int_Tables_number 216
_symmetry_space_group_name_Hall 'F -4 2 3'
loop_
_atom_site_label
_atom_site_type_symbol
_atom_site_fract_x
_atom_site_fract_y
_atom_site_fract_z
Na1 Na 0.000 0.000 0.000
Pr1 Pr 0.000 0.000 0.500
Hf1 Hf 0.250 0.250 0.250
Zr1 Zr 0.250 0.250 0.750
O1 O 0.002 0.250 0.250
# Calculated volume ... 14.111 Å³/atom
# E_form ... -3.44 eV/atom
# ρ ... 6.23 g cm⁻³
# Total DFT energy (no corrections) ... -0.6217 Ry per atom



4.
# Na4HfS4O18 (PBE-GGA, relaxed)
data_Na4HfS4O18
_chemical_formula_sum 'Na16 Hf4 S16 O72'
_cell_length_a 9.349
_cell_length_b 10.117
_cell_length_c 17.283
_cell_angle_alpha 90.00
_cell_angle_beta 90.08
_cell_angle_gamma 90.00
_symmetry_space_group_name_H-M 'C 1 2/c 1'
_symmetry_Int_Tables_number 15
_symmetry_space_group_name_Hall '-C 2yc'
loop_
_atom_site_label
_atom_site_type_symbol
_atom_site_fract_x
_atom_site_fract_y
_atom_site_fract_z
Na1 Na 0.169 0.180 0.095
Na2 Na 0.245 0.099 0.450
Hf1 Hf 0.000 0.358 0.750
S1 S 0.021 0.133 0.910
S2 S 0.060 0.461 0.375
O1 O 0.009 0.009 0.396
O2 O 0.028 0.321 0.378
O3 O 0.030 0.201 0.829
O4 O 0.074 0.456 0.642
O5 O 0.105 0.190 0.552
O6 O 0.139 0.487 0.940
O7 O 0.144 0.490 0.299
O8 O 0.157 0.163 0.950
O9 O 0.216 0.293 0.767
# Calculated volume ... 15.135 Å³/atom
# E_form ... -2.03 eV/atom
# ρ ... 2.79 g cm⁻³
# Total DFT energy (no corrections) ... -0.4442 Ry per atom



5.
# Na10Hf4Sc4Si7S5O48 (PBE-GGA, relaxed)
data_Na10Hf4Sc4Si7S5O48
_chemical_formula_sum 'Na30 Hf12 Sc12 Si21 S15 O144'
_cell_length_a 9.080
_cell_length_b 15.764
_cell_length_c 22.883
_cell_angle_alpha 89.92
_cell_angle_beta 89.97
_cell_angle_gamma 89.92
_symmetry_space_group_name_H-M 'P 1'
_symmetry_Int_Tables_number 1
_symmetry_space_group_name_Hall 'P 1'
loop_
_atom_site_label
_atom_site_type_symbol
_atom_site_fract_x
_atom_site_fract_y
_atom_site_fract_z
Na1 Na 0.000 0.000 0.000
Na2 Na 0.000 0.335 0.332
Na3 Na 0.001 0.667 0.663
Na4 Na 0.120 0.819 0.589
Na5 Na 0.126 0.480 0.255
Na6 Na 0.136 0.156 0.926
Na7 Na 0.146 0.473 0.757
Na8 Na 0.147 0.152 0.422
Na9 Na 0.149 0.818 0.094
Na10 Na 0.269 0.000 0.496
Na11 Na 0.311 0.001 0.843
Na12 Na 0.319 0.641 0.843
Na13 Na 0.321 0.309 0.508
Na14 Na 0.445 0.475 0.674
Na15 Na 0.445 0.809 0.012
Na16 Na 0.451 0.834 0.675
Na17 Na 0.452 0.499 0.343
Na18 Na 0.500 0.500 0.000
Na19 Na 0.612 0.977 0.260
Na20 Na 0.626 0.318 0.587
Na21 Na 0.636 0.657 0.924
Na22 Na 0.639 0.649 0.428
Na23 Na 0.649 0.318 0.094
Na24 Na 0.655 0.977 0.759
Na25 Na 0.814 0.503 0.843
Na26 Na 0.820 0.141 0.846
Na27 Na 0.820 0.807 0.509
Na28 Na 0.945 0.309 0.012
Na29 Na 0.947 0.641 0.346
Na30 Na 0.952 0.001 0.343
Hf1 Hf 0.120 0.494 0.108
Hf2 Hf 0.122 0.827 0.440
Hf3 Hf 0.130 0.166 0.773
Hf4 Hf 0.143 0.163 0.274
Hf5 Hf 0.143 0.494 0.605
Hf6 Hf 0.143 0.828 0.940
Hf7 Hf 0.620 0.994 0.108
Hf8 Hf 0.621 0.330 0.440
Hf9 Hf 0.621 0.665 0.773
Hf10 Hf 0.635 0.668 0.273
Hf11 Hf 0.644 0.328 0.940
Hf12 Hf 0.648 0.997 0.605
Sc1 Sc 0.124 0.160 0.070
Sc2 Sc 0.126 0.833 0.735
Sc3 Sc 0.133 0.495 0.405
Sc4 Sc 0.135 0.493 0.902
Sc5 Sc 0.141 0.161 0.567
Sc6 Sc 0.143 0.835 0.236
Sc7 Sc 0.623 0.660 0.069
Sc8 Sc 0.626 0.330 0.737
Sc9 Sc 0.628 0.996 0.400
Sc10 Sc 0.632 0.658 0.567
Sc11 Sc 0.634 0.992 0.903
Sc12 Sc 0.642 0.332 0.236
Si1 Si 0.275 0.639 0.004
Si2 Si 0.283 0.307 0.668
Si3 Si 0.283 0.974 0.338
Si4 Si 0.338 0.661 0.670
Si5 Si 0.339 0.997 0.001
Si6 Si 0.340 0.327 0.336
Si7 Si 0.429 0.829 0.835
Si8 Si 0.431 0.496 0.502
Si9 Si 0.482 0.809 0.168
Si10 Si 0.484 0.474 0.837
Si11 Si 0.491 0.139 0.504
Si12 Si 0.775 0.139 0.004
Si13 Si 0.779 0.808 0.668
Si14 Si 0.781 0.474 0.337
Si15 Si 0.839 0.497 0.001
Si16 Si 0.840 0.829 0.335
Si17 Si 0.927 0.328 0.836
Si18 Si 0.928 0.996 0.500
Si19 Si 0.983 0.307 0.170
Si20 Si 0.983 0.974 0.837
Si21 Si 0.985 0.641 0.503
S1 S 0.280 0.348 0.005
S2 S 0.281 0.682 0.336
S3 S 0.283 0.015 0.671
S4 S 0.425 0.160 0.170
S5 S 0.483 0.513 0.171
S6 S 0.485 0.181 0.837
S7 S 0.487 0.849 0.505
S8 S 0.778 0.182 0.336
S9 S 0.780 0.848 0.005
S10 S 0.781 0.513 0.672
S11 S 0.842 0.159 0.671
S12 S 0.924 0.660 0.171
S13 S 0.983 0.014 0.171
S14 S 0.984 0.347 0.504
S15 S 0.985 0.682 0.837
O1 O 0.013 0.735 0.889
O2 O 0.014 0.400 0.556
O3 O 0.017 0.065 0.223
O4 O 0.017 0.581 0.167
O5 O 0.019 0.586 0.444
O6 O 0.019 0.735 0.176
O7 O 0.019 0.914 0.782
O8 O 0.024 0.253 0.111
O9 O 0.025 0.240 0.830
O10 O 0.025 0.413 0.842
O11 O 0.032 0.908 0.499
O12 O 0.041 0.075 0.511
O13 O 0.046 0.054 0.117
O14 O 0.049 0.592 0.562
O15 O 0.049 0.720 0.783
O16 O 0.049 0.928 0.174
O17 O 0.050 0.385 0.450
O18 O 0.053 0.258 0.228
O19 O 0.055 0.263 0.510
O20 O 0.055 0.930 0.897
O21 O 0.056 0.597 0.842
O22 O 0.066 0.402 0.166
O23 O 0.069 0.735 0.500
O24 O 0.072 0.067 0.830
O25 O 0.188 0.065 0.330
O26 O 0.200 0.735 0.999
O27 O 0.204 0.402 0.666
O28 O 0.208 0.930 0.397
O29 O 0.210 0.588 0.060
O30 O 0.211 0.386 0.952
O31 O 0.213 0.596 0.341
O32 O 0.214 0.256 0.725
O33 O 0.214 0.262 0.011
O34 O 0.216 0.721 0.284
O35 O 0.218 0.928 0.674
O36 O 0.221 0.056 0.618
O37 O 0.227 0.076 0.010
O38 O 0.229 0.243 0.331
O39 O 0.232 0.744 0.676
O40 O 0.233 0.411 0.341
O41 O 0.233 0.575 0.665
O42 O 0.235 0.909 0.998
O43 O 0.246 0.253 0.609
O44 O 0.248 0.915 0.282
O45 O 0.249 0.065 0.724
O46 O 0.254 0.402 0.057
O47 O 0.255 0.581 0.945
O48 O 0.257 0.733 0.389
O49 O 0.304 0.816 0.173
O50 O 0.308 0.493 0.841
O51 O 0.310 0.154 0.510
O52 O 0.320 0.506 0.166
O53 O 0.322 0.168 0.831
O54 O 0.322 0.811 0.893
O55 O 0.323 0.477 0.559
O56 O 0.325 0.843 0.499
O57 O 0.326 0.840 0.777
O58 O 0.331 0.168 0.118
O59 O 0.331 0.503 0.443
O60 O 0.332 0.147 0.223
O61 O 0.435 0.006 0.942
O62 O 0.437 0.312 0.397
O63 O 0.437 0.641 0.730
O64 O 0.442 0.341 0.999
O65 O 0.444 0.668 0.330
O66 O 0.445 0.005 0.667
O67 O 0.450 0.975 0.057
O68 O 0.452 0.341 0.282
O69 O 0.452 0.675 0.617
O70 O 0.456 0.653 0.009
O71 O 0.459 0.988 0.343
O72 O 0.462 0.322 0.673
O73 O 0.509 0.234 0.890
O74 O 0.511 0.075 0.450
O75 O 0.512 0.902 0.559
O76 O 0.516 0.419 0.778
O77 O 0.517 0.565 0.224
O78 O 0.518 0.082 0.166
O79 O 0.519 0.235 0.176
O80 O 0.522 0.755 0.108
O81 O 0.527 0.740 0.833
O82 O 0.527 0.914 0.842
O83 O 0.528 0.406 0.500
O84 O 0.534 0.579 0.509
O85 O 0.545 0.554 0.118
O86 O 0.549 0.221 0.785
O87 O 0.550 0.428 0.175
O88 O 0.554 0.097 0.842
O89 O 0.555 0.426 0.895
O90 O 0.555 0.756 0.224
O91 O 0.555 0.764 0.511
O92 O 0.555 0.889 0.454
O93 O 0.556 0.091 0.563
O94 O 0.565 0.902 0.165
O95 O 0.567 0.234 0.499
O96 O 0.576 0.566 0.833
O97 O 0.689 0.900 0.666
O98 O 0.695 0.566 0.329
O99 O 0.700 0.234 0.999
O100 O 0.702 0.758 0.724
O101 O 0.704 0.426 0.393
O102 O 0.711 0.088 0.060
O103 O 0.711 0.886 0.953
O104 O 0.712 0.428 0.676
O105 O 0.713 0.555 0.621
O106 O 0.714 0.762 0.011
O107 O 0.717 0.221 0.284
O108 O 0.719 0.096 0.342
O109 O 0.727 0.576 0.011
O110 O 0.734 0.409 0.998
O111 O 0.742 0.740 0.330
O112 O 0.742 0.913 0.342
O113 O 0.746 0.234 0.677
O114 O 0.750 0.081 0.667
O115 O 0.753 0.752 0.610
O116 O 0.755 0.082 0.945
O117 O 0.755 0.565 0.726
O118 O 0.755 0.902 0.057
O119 O 0.756 0.235 0.389
O120 O 0.761 0.411 0.281
O121 O 0.804 0.316 0.174
O122 O 0.807 0.994 0.842
O123 O 0.808 0.659 0.507
O124 O 0.814 0.338 0.781
O125 O 0.820 0.976 0.557
O126 O 0.821 0.007 0.166
O127 O 0.823 0.337 0.499
O128 O 0.824 0.668 0.832
O129 O 0.826 0.309 0.895
O130 O 0.828 0.667 0.119
O131 O 0.831 0.006 0.442
O132 O 0.833 0.646 0.225
O133 O 0.934 0.147 0.725
O134 O 0.935 0.506 0.942
O135 O 0.937 0.168 0.619
O136 O 0.941 0.808 0.395
O137 O 0.942 0.841 0.999
O138 O 0.943 0.506 0.666
O139 O 0.945 0.173 0.331
O140 O 0.949 0.475 0.057
O141 O 0.953 0.837 0.281
O142 O 0.956 0.154 0.009
O143 O 0.957 0.815 0.676
O144 O 0.959 0.489 0.343
# Calculated volume ... 13.997 Å³/atom
# E_form ... -2.92 eV/atom
# ρ ... 3.42 g cm⁻³
# Total DFT energy (no corrections) ... -0.5364 Ry per atom



Question: Which of these has the highest E_form?
Answer: Na4HfS4O18



Question: Which of these has the lowest calculated volume?
Answer: NaPrHfSnO6